[1]
{
  "formula": "Li5Fe8B8O24",
  "functional": "PBE with a Hubbard U",
  "state": "optimized geometry",
  "relative_energy_ev_per_atom": 0.005,
  "crystal_system": "triclinic",
  "space_group": "P1, No. 1",
  "lattice_angstrom": [[5.150, 0.945, 0.551], [-0.111, 5.238, -7.366], [-4.458, 5.137, 9.201]],
  "species": ["O", "O", "O", "O", "O", "O", "O", "O", "O", "O", "O", "O", "O", "O", "O", "O", "O", "O", "O", "O", "O", "O", "O", "O", "B", "B", "B", "B", "B", "B", "B", "B", "Fe", "Fe", "Fe", "Fe", "Fe", "Fe", "Fe", "Fe", "Li", "Li", "Li", "Li", "Li"],
  "fractional_positions": [[0.401, 0.793, 0.166], [0.034, 0.101, 0.886], [0.747, 0.335, 0.658], [0.580, 0.669, 0.604], [0.635, 0.013, 0.921], [0.862, 0.788, 0.353], [0.370, 0.315, 0.363], [0.755, 0.177, 0.343], [0.475, 0.379, 0.119], [0.165, 0.496, 0.919], [0.919, 0.567, 0.419], [0.441, 0.098, 0.437], [0.111, 0.717, 0.848], [0.628, 0.210, 0.830], [0.845, 0.508, 0.095], [0.340, 0.004, 0.085], [0.979, 0.889, 0.130], [0.550, 0.926, 0.589], [0.254, 0.840, 0.688], [0.259, 0.655, 0.341], [0.507, 0.590, 0.850], [0.906, 0.297, 0.177], [0.158, 0.213, 0.662], [0.085, 0.421, 0.580], [0.996, 0.318, 0.632], [0.464, 0.813, 0.628], [0.235, 0.893, 0.127], [0.523, 0.196, 0.384], [0.768, 0.105, 0.877], [0.265, 0.601, 0.874], [0.015, 0.675, 0.370], [0.739, 0.397, 0.130], [0.517, 0.857, 0.381], [0.014, 0.348, 0.380], [0.967, 0.661, 0.635], [0.250, 0.564, 0.129], [0.495, 0.152, 0.631], [0.774, 0.453, 0.888], [0.267, 0.931, 0.882], [0.746, 0.056, 0.125], [0.272, 0.267, 0.875], [0.772, 0.750, 0.168], [0.487, 0.510, 0.665], [0.260, 0.239, 0.153], [0.526, 0.542, 0.408]]
}

[2]
{
  "formula": "FeH7C4O8",
  "functional": "PBE with a Hubbard U",
  "state": "optimized geometry",
  "crystal_system": "triclinic",
  "space_group": "P-1, No. 2",
  "lattice_angstrom": [[-3.027, 4.938, 5.171], [-2.572, -7.399, 0.469], [7.538, 0.126, 3.283]],
  "species": ["O", "O", "O", "O", "O", "O", "O", "O", "O", "O", "O", "O", "O", "O", "O", "O", "H", "H", "H", "H", "H", "H", "H", "H", "H", "H", "H", "H", "H", "H", "C", "C", "C", "C", "C", "C", "C", "C", "Fe", "Fe"],
  "fractional_positions": [[0.578, 0.393, 0.543], [0.726, 0.114, 0.364], [0.274, 0.886, 0.636], [0.236, 0.009, 0.351], [0.412, 0.271, 0.170], [0.972, 0.709, 0.058], [0.764, 0.991, 0.649], [0.054, 0.234, 0.246], [0.588, 0.729, 0.830], [0.422, 0.607, 0.457], [0.425, 0.728, 0.176], [0.028, 0.291, 0.942], [0.821, 0.695, 0.403], [0.179, 0.305, 0.597], [0.575, 0.272, 0.824], [0.946, 0.766, 0.754], [0.230, 0.960, 0.450], [0.584, 0.352, 0.645], [0.416, 0.648, 0.355], [0.960, 0.741, 0.867], [0.324, 0.789, 0.592], [0.865, 0.103, 0.757], [0.613, 0.987, 0.279], [0.929, 0.194, 0.287], [0.135, 0.897, 0.243], [0.676, 0.211, 0.408], [0.770, 0.040, 0.550], [0.040, 0.259, 0.133], [0.387, 0.013, 0.721], [0.071, 0.806, 0.713], [0.248, 0.428, 0.754], [0.752, 0.572, 0.246], [0.427, 0.616, 0.857], [0.573, 0.384, 0.143], [0.355, 0.616, 0.018], [0.645, 0.384, 0.982], [0.175, 0.421, 0.913], [0.825, 0.579, 0.087], [0.311, 0.303, 0.393], [0.689, 0.697, 0.607]]
}

[3]
{
  "formula": "MgMnP2O7",
  "functional": "PBE with a Hubbard U",
  "state": "optimized geometry",
  "relative_energy_ev_per_atom": 0.000,
  "crystal_system": "monoclinic",
  "space_group": "P2_1/c, No. 14",
  "lattice_angstrom": [[-2.943, -3.777, -7.104], [6.632, -1.926, -1.724], [2.342, -8.266, 3.425]],
  "species": ["P", "P", "P", "P", "P", "P", "P", "P", "Mg", "Mg", "Mg", "Mg", "O", "O", "O", "O", "O", "O", "O", "O", "O", "O", "O", "O", "O", "O", "O", "O", "O", "O", "O", "O", "O", "O", "O", "O", "O", "O", "O", "O", "Mn", "Mn", "Mn", "Mn"],
  "fractional_positions": [[0.765, 0.062, 0.257], [0.776, 0.468, 0.969], [0.265, 0.938, 0.243], [0.276, 0.532, 0.531], [0.735, 0.062, 0.757], [0.724, 0.468, 0.469], [0.235, 0.938, 0.743], [0.224, 0.532, 0.031], [0.560, 0.698, 0.681], [0.060, 0.302, 0.819], [0.940, 0.698, 0.181], [0.440, 0.302, 0.319], [0.897, 0.030, 0.377], [0.603, 0.030, 0.877], [0.384, 0.542, 0.105], [0.262, 0.118, 0.296], [0.591, 0.506, 0.350], [0.884, 0.458, 0.395], [0.610, 0.115, 0.309], [0.227, 0.378, 0.951], [0.909, 0.506, 0.850], [0.678, 0.250, 0.600], [0.322, 0.750, 0.400], [0.738, 0.882, 0.704], [0.727, 0.622, 0.549], [0.397, 0.970, 0.123], [0.116, 0.542, 0.605], [0.409, 0.494, 0.650], [0.773, 0.622, 0.049], [0.822, 0.250, 0.100], [0.616, 0.458, 0.895], [0.178, 0.750, 0.900], [0.103, 0.970, 0.623], [0.238, 0.118, 0.796], [0.390, 0.885, 0.691], [0.273, 0.378, 0.451], [0.091, 0.494, 0.150], [0.890, 0.115, 0.809], [0.762, 0.882, 0.204], [0.110, 0.885, 0.191], [0.570, 0.764, 0.109], [0.930, 0.764, 0.609], [0.070, 0.236, 0.391], [0.430, 0.236, 0.891]]
}

[4]
{
  "formula": "MgCrBiO5",
  "functional": "PBE with a Hubbard U",
  "state": "optimized geometry",
  "relative_energy_ev_per_atom": 0.058,
  "crystal_system": "orthorhombic",
  "space_group": "Pbca, No. 61",
  "lattice_angstrom": [[-3.293, 3.681, -1.857], [3.148, -2.211, -9.964], [-11.108, -10.528, -1.173]],
  "species": ["Cr", "Cr", "Cr", "Cr", "Cr", "Cr", "Cr", "Cr", "Bi", "Bi", "Bi", "Bi", "Bi", "Bi", "Bi", "Bi", "O", "O", "O", "O", "O", "O", "O", "O", "O", "O", "O", "O", "O", "O", "O", "O", "O", "O", "O", "O", "O", "O", "O", "O", "O", "O", "O", "O", "O", "O", "O", "O", "O", "O", "O", "O", "O", "O", "O", "O", "Mg", "Mg", "Mg", "Mg", "Mg", "Mg", "Mg", "Mg"],
  "fractional_positions": [[0.479, 0.601, 0.910], [0.979, 0.399, 0.590], [0.021, 0.601, 0.410], [0.521, 0.899, 0.410], [0.979, 0.899, 0.910], [0.021, 0.101, 0.090], [0.521, 0.399, 0.090], [0.479, 0.101, 0.590], [0.029, 0.146, 0.772], [0.471, 0.646, 0.228], [0.471, 0.146, 0.272], [0.029, 0.646, 0.728], [0.529, 0.854, 0.728], [0.971, 0.354, 0.272], [0.529, 0.354, 0.772], [0.971, 0.854, 0.228], [0.181, 0.026, 0.884], [0.692, 0.460, 0.558], [0.319, 0.026, 0.384], [0.934, 0.333, 0.695], [0.681, 0.974, 0.616], [0.066, 0.167, 0.195], [0.225, 0.777, 0.645], [0.319, 0.526, 0.116], [0.192, 0.040, 0.558], [0.643, 0.199, 0.524], [0.308, 0.040, 0.058], [0.681, 0.474, 0.884], [0.934, 0.833, 0.805], [0.566, 0.333, 0.195], [0.434, 0.667, 0.805], [0.181, 0.526, 0.616], [0.225, 0.277, 0.855], [0.357, 0.301, 0.024], [0.275, 0.777, 0.145], [0.275, 0.277, 0.355], [0.192, 0.540, 0.942], [0.434, 0.167, 0.695], [0.143, 0.301, 0.524], [0.775, 0.223, 0.355], [0.819, 0.474, 0.384], [0.819, 0.974, 0.116], [0.808, 0.460, 0.058], [0.066, 0.667, 0.305], [0.725, 0.223, 0.855], [0.808, 0.960, 0.442], [0.143, 0.801, 0.976], [0.775, 0.723, 0.145], [0.566, 0.833, 0.305], [0.308, 0.540, 0.442], [0.857, 0.699, 0.476], [0.725, 0.723, 0.645], [0.357, 0.801, 0.476], [0.643, 0.699, 0.976], [0.692, 0.960, 0.942], [0.857, 0.199, 0.024], [0.503, 0.360, 0.451], [0.997, 0.860, 0.549], [0.997, 0.360, 0.951], [0.497, 0.640, 0.549], [0.497, 0.140, 0.951], [0.003, 0.140, 0.451], [0.503, 0.860, 0.049], [0.003, 0.640, 0.049]]
}

Ordered DFT formation energy results: -2286; -1155; -2784; -2035; unit meV per atom.